DFT (GGA-PBE) results for crystalline Li4Be3P3ClO12 at its relaxed geometry.

```
Li4Be3P3ClO12
1.0
-5.7669 -5.0614 2.6409
3.9884 -6.2577 -3.2837
4.0846 -1.0356 6.9349
P Be O Cl Li
6 6 24 2 8
direct
0.0000 0.2500 0.5000
0.0000 0.7500 0.5000
0.5000 0.0000 0.2500
0.2500 0.5000 0.0000
0.7500 0.5000 0.0000
0.5000 0.0000 0.7500
0.5000 0.2500 0.0000
0.0000 0.5000 0.7500
0.0000 0.5000 0.2500
0.7500 0.0000 0.5000
0.5000 0.7500 0.0000
0.2500 0.0000 0.5000
0.5826 0.1359 0.8560
0.6359 0.9174 0.6440
0.4174 0.8641 0.8560
0.4174 0.1359 0.1440
0.5826 0.8641 0.1440
0.6359 0.0826 0.3560
0.6440 0.6359 0.9174
0.3641 0.9174 0.3560
0.8641 0.1440 0.5826
0.3560 0.6359 0.0826
0.1359 0.1440 0.4174
0.9174 0.6440 0.6359
0.8641 0.8560 0.4174
0.8560 0.5826 0.1359
0.0826 0.6440 0.3641
0.9174 0.3560 0.3641
0.3560 0.3641 0.9174
0.3641 0.0826 0.6440
0.1440 0.5826 0.8641
0.1359 0.8560 0.5826
0.1440 0.4174 0.1359
0.8560 0.4174 0.8641
0.6440 0.3641 0.0826
0.0826 0.3560 0.6359
0.5000 0.5000 0.5000
0.0000 0.0000 0.0000
0.8248 0.1752 0.8248
0.6752 0.3248 0.3248
0.1752 0.8248 0.8248
0.6752 0.6752 0.6752
0.3248 0.3248 0.6752
0.8248 0.8248 0.1752
0.3248 0.6752 0.3248
0.1752 0.1752 0.1752
```

Total energy   -6.67 eV per atom
Formation energy from the elements   -2.844 eV per atom
E (MP2020)   -7.032 eV per atom